# 1
# SnP2O7, optimized geometry, DFT PBE
# DFT total energy in eV per atom: -6.8266
# Size of the total moment in μB/f.u.: 0.00
# ΔE to the lowest computed polymorph in meV per atom: 167
# Energy relative to the elements in eV per formula unit: -23.60
data_SnP2O7
_symmetry_space_group_name_H-M 'P 1'
_symmetry_Int_Tables_number 1
_cell_length_a 8.836
_cell_length_b 7.057
_cell_length_c 9.543
_cell_angle_alpha 72.65
_cell_angle_beta 90.00
_cell_angle_gamma 90.00
loop_
_symmetry_equiv_pos_as_xyz
'x,y,z'
loop_
_atom_site_label
_atom_site_fract_x
_atom_site_fract_y
_atom_site_fract_z
O1 0.912 0.521 0.141
O2 0.785 0.743 0.918
P1 0.783 0.532 0.030
O3 0.236 0.896 0.199
P2 0.217 0.468 0.970
P3 0.740 0.909 0.255
P4 0.240 0.091 0.245
P5 0.283 0.468 0.470
O4 0.297 0.630 0.548
Sn1 0.428 0.697 0.700
O5 0.736 0.104 0.301
O6 0.264 0.896 0.699
O7 0.088 0.479 0.859
O8 0.088 0.112 0.779
O9 0.203 0.630 0.048
O10 0.627 0.499 0.107
P6 0.260 0.091 0.745
O11 0.588 0.888 0.721
Sn2 0.928 0.303 0.800
O12 0.870 0.881 0.648
O13 0.215 0.257 0.082
O14 0.873 0.499 0.607
P7 0.717 0.532 0.530
P8 0.760 0.909 0.755
Sn3 0.072 0.697 0.200
O15 0.373 0.501 0.893
O16 0.130 0.119 0.352
O17 0.715 0.743 0.418
O18 0.797 0.370 0.952
O19 0.588 0.521 0.641
O20 0.370 0.119 0.852
O21 0.703 0.370 0.452
O22 0.412 0.479 0.359
Sn4 0.572 0.303 0.300
O23 0.127 0.501 0.393
O24 0.912 0.888 0.221
O25 0.764 0.104 0.801
O26 0.630 0.881 0.148
O27 0.285 0.257 0.582
O28 0.412 0.112 0.279



# 2
# Sn2P2O7, optimized geometry, DFT PBE
# DFT total energy in eV per atom: -6.7450
# Size of the total moment in μB/f.u.: 0.00
# ΔE to the lowest computed polymorph in meV per atom: 49
# Energy relative to the elements in eV per formula unit: -25.52
data_Sn2P2O7
_symmetry_space_group_name_H-M 'P 1'
_symmetry_Int_Tables_number 1
_cell_length_a 7.145
_cell_length_b 7.301
_cell_length_c 7.306
_cell_angle_alpha 81.65
_cell_angle_beta 80.77
_cell_angle_gamma 62.65
loop_
_symmetry_equiv_pos_as_xyz
'x,y,z'
loop_
_atom_site_label
_atom_site_fract_x
_atom_site_fract_y
_atom_site_fract_z
P1 0.783 0.748 0.336
P2 0.645 0.174 0.145
O1 0.359 0.354 0.577
O2 0.751 0.111 0.949
O3 0.061 0.364 0.833
Sn1 0.703 0.380 0.672
O4 0.249 0.889 0.051
O5 0.384 0.024 0.744
O6 0.585 0.654 0.858
O7 0.773 0.231 0.256
O8 0.089 0.229 0.527
Sn2 0.093 0.240 0.172
O9 0.939 0.636 0.167
O10 0.911 0.771 0.473
O11 0.415 0.346 0.142
Sn3 0.297 0.620 0.328
Sn4 0.907 0.760 0.828
O12 0.641 0.646 0.423
P3 0.217 0.252 0.664
O13 0.616 0.976 0.256
P4 0.355 0.826 0.855
O14 0.227 0.769 0.744



# 3
# Sn4P2O9, optimized geometry, DFT PBE
# DFT total energy in eV per atom: -6.4796
# Size of the total moment in μB/f.u.: 0.00
# ΔE to the lowest computed polymorph in meV per atom: 73
# Energy relative to the elements in eV per formula unit: -31.98
data_Sn4P2O9
_symmetry_space_group_name_H-M 'P 1'
_symmetry_Int_Tables_number 1
_cell_length_a 7.027
_cell_length_b 9.011
_cell_length_c 9.203
_cell_angle_alpha 76.77
_cell_angle_beta 79.60
_cell_angle_gamma 68.38
loop_
_symmetry_equiv_pos_as_xyz
'x,y,z'
loop_
_atom_site_label
_atom_site_fract_x
_atom_site_fract_y
_atom_site_fract_z
O1 0.896 0.479 0.250
O2 0.526 0.505 0.239
O3 0.238 0.754 0.626
Sn1 0.635 0.245 0.909
O4 0.724 0.981 0.817
O5 0.114 0.686 0.219
O6 0.687 0.905 0.572
O7 0.762 0.246 0.374
O8 0.374 0.993 0.764
P1 0.245 0.616 0.762
Sn2 0.135 0.018 0.628
Sn3 0.120 0.282 0.914
Sn4 0.771 0.560 0.645
P2 0.755 0.384 0.238
O9 0.823 0.322 0.084
P3 0.385 0.096 0.258
O10 0.663 0.719 0.814
O11 0.313 0.095 0.428
O12 0.177 0.678 0.916
O13 0.886 0.314 0.781
Sn5 0.865 0.982 0.372
O14 0.337 0.281 0.186
O15 0.474 0.495 0.761
O16 0.626 0.007 0.236
Sn6 0.229 0.440 0.355
Sn7 0.880 0.718 0.086
O17 0.276 0.019 0.183
P4 0.615 0.904 0.742
O18 0.104 0.521 0.750
Sn8 0.365 0.755 0.091



# 4
# SnPO3, optimized geometry, DFT PBE
# DFT total energy in eV per atom: -6.3674
# Size of the total moment in μB/f.u.: 1.00
# Energy relative to the elements in eV per formula unit: -9.63
data_SnPO3
_symmetry_space_group_name_H-M 'P 1'
_symmetry_Int_Tables_number 1
_cell_length_a 7.354
_cell_length_b 7.354
_cell_length_c 4.858
_cell_angle_alpha 75.53
_cell_angle_beta 75.53
_cell_angle_gamma 120.58
loop_
_symmetry_equiv_pos_as_xyz
'x,y,z'
loop_
_atom_site_label
_atom_site_fract_x
_atom_site_fract_y
_atom_site_fract_z
O1 0.020 0.636 0.167
O2 0.833 0.670 0.662
O3 0.670 0.833 0.162
P1 0.062 0.784 0.358
Sn1 0.410 0.685 0.658
Sn2 0.685 0.410 0.158
P2 0.784 0.062 0.858
O4 0.636 0.020 0.667
O5 0.279 0.845 0.419
O6 0.845 0.279 0.919



# 5
# Sn4P2O9, optimized geometry, DFT PBE
# DFT total energy in eV per atom: -6.5330
# Size of the total moment in μB/f.u.: 0.00
# ΔE to the lowest computed polymorph in meV per atom: 20
# Energy relative to the elements in eV per formula unit: -32.78
data_Sn4P2O9
_symmetry_space_group_name_H-M 'P 1'
_symmetry_Int_Tables_number 1
_cell_length_a 7.111
_cell_length_b 9.483
_cell_length_c 14.595
_cell_angle_alpha 74.58
_cell_angle_beta 90.00
_cell_angle_gamma 90.00
loop_
_symmetry_equiv_pos_as_xyz
'x,y,z'
loop_
_atom_site_label
_atom_site_fract_x
_atom_site_fract_y
_atom_site_fract_z
O1 0.263 0.503 0.098
O2 0.289 0.820 0.479
O3 0.268 0.928 0.807
Sn1 0.284 0.037 0.148
O4 0.423 0.293 0.221
P1 0.708 0.031 0.598
O5 0.213 0.762 0.675
O6 0.787 0.238 0.325
O7 0.398 0.252 0.658
O8 0.337 0.083 0.923
Sn2 0.716 0.963 0.852
O9 0.371 0.425 0.763
P2 0.267 0.369 0.684
O10 0.232 0.928 0.307
O11 0.997 0.967 0.112
O12 0.768 0.072 0.693
O13 0.102 0.252 0.158
Sn3 0.271 0.677 0.330
O14 0.763 0.497 0.402
O15 0.711 0.180 0.521
Sn4 0.020 0.717 0.113
Sn5 0.980 0.283 0.887
O16 0.789 0.180 0.021
Sn6 0.771 0.323 0.170
O17 0.129 0.425 0.263
P3 0.233 0.369 0.184
O18 0.629 0.575 0.237
O19 0.871 0.575 0.737
P4 0.292 0.969 0.402
O20 0.737 0.497 0.902
Sn7 0.998 0.680 0.591
Sn8 0.216 0.037 0.648
Sn9 0.784 0.963 0.352
Sn10 0.498 0.320 0.909
Sn11 0.520 0.283 0.387
O21 0.077 0.293 0.721
Sn12 0.480 0.717 0.613
P5 0.208 0.969 0.902
O22 0.237 0.503 0.598
O23 0.923 0.707 0.279
O24 0.837 0.917 0.577
O25 0.898 0.748 0.842
P6 0.733 0.631 0.316
Sn13 0.502 0.680 0.091
O26 0.602 0.748 0.342
O27 0.163 0.083 0.423
O28 0.713 0.238 0.825
P7 0.767 0.631 0.816
O29 0.497 0.033 0.388
Sn14 0.729 0.323 0.670
O30 0.211 0.820 0.979
O31 0.732 0.072 0.193
O32 0.287 0.762 0.175
Sn15 0.002 0.320 0.409
O33 0.003 0.033 0.888
O34 0.663 0.917 0.077
P8 0.792 0.031 0.098
O35 0.503 0.967 0.612
Sn16 0.229 0.677 0.830
O36 0.577 0.707 0.779



# 6
# SnP2O6, optimized geometry, DFT PBE
# DFT total energy in eV per atom: -6.8654
# Size of the total moment in μB/f.u.: 0.00
# ΔE to the lowest computed polymorph in meV per atom: 56
# Energy relative to the elements in eV per formula unit: -21.39
data_SnP2O6
_symmetry_space_group_name_H-M 'P 1'
_symmetry_Int_Tables_number 1
_cell_length_a 15.045
_cell_length_b 5.298
_cell_length_c 8.102
_cell_angle_alpha 70.30
_cell_angle_beta 90.00
_cell_angle_gamma 90.00
loop_
_symmetry_equiv_pos_as_xyz
'x,y,z'
loop_
_atom_site_label
_atom_site_fract_x
_atom_site_fract_y
_atom_site_fract_z
O1 0.339 0.287 0.089
O2 0.315 0.072 0.860
O3 0.685 0.928 0.140
O4 0.367 0.210 0.548
P1 0.336 0.017 0.061
O5 0.251 0.847 0.161
O6 0.867 0.790 0.952
O7 0.633 0.790 0.452
O8 0.407 0.736 0.765
P2 0.836 0.983 0.439
O9 0.917 0.159 0.375
O10 0.133 0.210 0.048
P3 0.844 0.034 0.799
O11 0.417 0.841 0.125
O12 0.185 0.072 0.360
O13 0.161 0.287 0.589
O14 0.815 0.928 0.640
Sn1 0.562 0.612 0.731
O15 0.661 0.713 0.911
O16 0.749 0.153 0.839
Sn2 0.438 0.388 0.269
O17 0.907 0.264 0.735
O18 0.583 0.159 0.875
P4 0.664 0.983 0.939
O19 0.093 0.736 0.265
O20 0.751 0.153 0.339
P5 0.164 0.017 0.561
O21 0.083 0.841 0.625
Sn3 0.062 0.388 0.769
O22 0.593 0.264 0.235
P6 0.344 0.966 0.701
O23 0.839 0.713 0.411
O24 0.249 0.847 0.661
P7 0.156 0.966 0.201
Sn4 0.938 0.612 0.231
P8 0.656 0.034 0.299



# 7
# Sn3P3O13, optimized geometry, DFT PBE
# DFT total energy in eV per atom: -6.7413
# Size of the total moment in μB/f.u.: 0.00
# Energy relative to the elements in eV per formula unit: -44.42
data_Sn3P3O13
_symmetry_space_group_name_H-M 'P 1'
_symmetry_Int_Tables_number 1
_cell_length_a 6.622
_cell_length_b 7.750
_cell_length_c 11.053
_cell_angle_alpha 82.93
_cell_angle_beta 90.00
_cell_angle_gamma 90.00
loop_
_symmetry_equiv_pos_as_xyz
'x,y,z'
loop_
_atom_site_label
_atom_site_fract_x
_atom_site_fract_y
_atom_site_fract_z
O1 0.250 0.177 0.651
O2 0.566 0.249 0.434
O3 0.250 0.348 0.257
P1 0.750 0.749 0.228
O4 0.750 0.036 0.597
Sn1 0.750 0.363 0.798
O5 0.066 0.751 0.566
O6 0.562 0.643 0.203
O7 0.250 0.084 0.879
Sn2 0.750 0.782 0.549
O8 0.434 0.751 0.566
P2 0.250 0.781 0.479
O9 0.938 0.643 0.203
O10 0.250 0.498 0.054
O11 0.750 0.823 0.349
O12 0.945 0.790 0.908
O13 0.445 0.210 0.092
P3 0.250 0.251 0.772
Sn3 0.250 0.218 0.451
O14 0.250 0.964 0.403
O15 0.750 0.652 0.743
O16 0.438 0.357 0.797
O17 0.750 0.916 0.121
O18 0.555 0.790 0.908
P4 0.750 0.692 0.881
Sn4 0.000 0.000 0.000
O19 0.055 0.210 0.092
O20 0.750 0.125 0.909
O21 0.750 0.356 0.613
Sn5 0.500 0.000 0.000
P5 0.250 0.308 0.119
O22 0.250 0.644 0.387
Sn6 0.250 0.637 0.202
O23 0.934 0.249 0.434
O24 0.750 0.502 0.946
O25 0.250 0.875 0.091
O26 0.062 0.357 0.797
P6 0.750 0.219 0.521



# 8
# SnP2O7, optimized geometry, DFT PBE
# DFT total energy in eV per atom: -6.9527
# Size of the total moment in μB/f.u.: 0.00
# ΔE to the lowest computed polymorph in meV per atom: 41
# Energy relative to the elements in eV per formula unit: -24.86
data_SnP2O7
_symmetry_space_group_name_H-M 'P 1'
_symmetry_Int_Tables_number 1
_cell_length_a 8.350
_cell_length_b 8.350
_cell_length_c 8.350
_cell_angle_alpha 90.00
_cell_angle_beta 90.00
_cell_angle_gamma 90.00
loop_
_symmetry_equiv_pos_as_xyz
'x,y,z'
loop_
_atom_site_label
_atom_site_fract_x
_atom_site_fract_y
_atom_site_fract_z
O1 0.500 0.000 0.000
P1 0.610 0.610 0.610
O2 0.000 0.500 0.000
P2 0.890 0.110 0.610
P3 0.390 0.110 0.890
O3 0.219 0.406 0.448
O4 0.448 0.219 0.406
O5 0.094 0.552 0.719
P4 0.110 0.890 0.390
O6 0.594 0.948 0.281
O7 0.406 0.448 0.219
O8 0.552 0.781 0.594
O9 0.219 0.094 0.948
O10 0.052 0.781 0.906
O11 0.406 0.052 0.719
O12 0.781 0.594 0.552
O13 0.948 0.219 0.094
P5 0.390 0.390 0.390
O14 0.906 0.052 0.781
O15 0.906 0.448 0.281
P6 0.610 0.890 0.110
O16 0.781 0.906 0.052
O17 0.000 0.000 0.500
O18 0.448 0.281 0.906
O19 0.281 0.906 0.448
P7 0.890 0.390 0.110
Sn1 0.000 0.500 0.500
O20 0.281 0.594 0.948
O21 0.719 0.406 0.052
O22 0.552 0.719 0.094
O23 0.594 0.552 0.781
O24 0.500 0.500 0.500
O25 0.948 0.281 0.594
Sn2 0.500 0.000 0.500
O26 0.094 0.948 0.219
P8 0.110 0.610 0.890
O27 0.719 0.094 0.552
O28 0.052 0.719 0.406
Sn3 0.500 0.500 0.000
Sn4 0.000 0.000 0.000



# 9
# SnP4O11, optimized geometry, DFT PBE
# DFT total energy in eV per atom: -6.9769
# Size of the total moment in μB/f.u.: 0.00
# ΔE to the lowest computed polymorph in meV per atom: 13
# Energy relative to the elements in eV per formula unit: -39.10
data_SnP4O11
_symmetry_space_group_name_H-M 'P 1'
_symmetry_Int_Tables_number 1
_cell_length_a 23.197
_cell_length_b 5.956
_cell_length_c 7.942
_cell_angle_alpha 72.52
_cell_angle_beta 90.00
_cell_angle_gamma 90.00
loop_
_symmetry_equiv_pos_as_xyz
'x,y,z'
loop_
_atom_site_label
_atom_site_fract_x
_atom_site_fract_y
_atom_site_fract_z
Sn1 0.113 0.006 0.126
P1 0.073 0.328 0.665
Sn2 0.613 0.994 0.374
P2 0.179 0.654 0.564
O1 0.700 0.301 0.760
P3 0.201 0.595 0.957
O2 0.535 0.758 0.307
O3 0.364 0.434 0.112
O4 0.311 0.798 0.525
O5 0.843 0.128 0.562
O6 0.811 0.202 0.975
O7 0.453 0.259 0.003
O8 0.200 0.699 0.740
O9 0.953 0.741 0.497
O10 0.169 0.369 0.010
O11 0.925 0.883 0.179
P4 0.679 0.346 0.936
O12 0.769 0.471 0.506
O13 0.731 0.471 0.006
Sn3 0.387 0.006 0.626
O14 0.460 0.552 0.180
O15 0.075 0.117 0.821
O16 0.657 0.128 0.062
O17 0.941 0.357 0.744
O18 0.540 0.448 0.820
O19 0.831 0.631 0.990
P5 0.470 0.411 0.798
P6 0.573 0.672 0.835
P7 0.030 0.411 0.298
O20 0.331 0.369 0.510
O21 0.465 0.242 0.693
O22 0.669 0.631 0.490
O23 0.441 0.643 0.756
P8 0.970 0.589 0.702
P9 0.821 0.346 0.436
O24 0.040 0.552 0.680
O25 0.800 0.301 0.260
P10 0.799 0.405 0.043
O26 0.343 0.872 0.938
O27 0.157 0.872 0.438
P11 0.927 0.672 0.335
O28 0.059 0.643 0.256
P12 0.321 0.654 0.064
O29 0.425 0.117 0.321
O30 0.547 0.741 0.997
P13 0.427 0.328 0.165
Sn4 0.887 0.994 0.874
O31 0.864 0.566 0.388
O32 0.035 0.242 0.193
O33 0.960 0.448 0.320
O34 0.269 0.529 0.994
O35 0.136 0.434 0.612
O36 0.231 0.529 0.494
P14 0.299 0.595 0.457
O37 0.689 0.202 0.475
O38 0.047 0.259 0.503
O39 0.575 0.883 0.679
O40 0.559 0.357 0.244
O41 0.965 0.758 0.807
O42 0.636 0.566 0.888
O43 0.189 0.798 0.025
O44 0.300 0.699 0.240
P15 0.530 0.589 0.202
P16 0.701 0.405 0.543



Number 8 is which compound?
SnP2O7